Here is an optimized crystal structure of Pr10B9C12 from the Materials Project database. Energies are from PBE.

Results
The total energy is -7.336 eV per atom.

a b c (Å): 8.5489 8.5489 25.4006
angles (deg): 90.00 90.00 90.00
With the nearest neighbours (Å) after each atom.
Space group P4_12_12 (No. 92)
Inequivalent atoms, fractional coordinates:
Pr: 0.0127 0.3175 0.0828 [8 per cell]  4 C 2.63-2.91, 2 B 2.82-2.93
Pr: 0.0148 0.0985 0.8107 [8 per cell]  6 C 2.65-2.97, 4 B 2.81-2.89
Pr: 0.0847 0.8044 0.4462 [8 per cell]  5 C 2.64-2.82, 3 B 2.73-2.87
Pr: 0.0939 0.6034 0.9596 [8 per cell]  4 C 2.58-2.80, 1 B 2.86
Pr: 0.1974 0.2855 0.5716 [8 per cell]  5 B 2.72-2.94, 5 C 2.73-2.96
B: 0.0112 0.8760 0.8927 [8 per cell]  1 C 1.49, 1 B 1.65
B: 0.0806 0.0806 0.5000 [4 per cell]  2 C 1.48
B: 0.0873 0.1986 0.3426 [8 per cell]  1 C 1.50, 1 B 1.65
B: 0.1365 0.6425 0.1167 [8 per cell]  2 C 1.46
B: 0.2037 0.7186 0.2252 [8 per cell]  1 C 1.46, 1 B 1.57
C: 0.0055 0.3105 0.1862 [8 per cell]  1 C 1.36
C: 0.0106 0.9027 0.9507 [8 per cell]  2 B 1.48-1.49
C: 0.0274 0.2879 0.2385 [8 per cell]  2 C 1.36-1.37
C: 0.0740 0.2168 0.2841 [8 per cell]  1 C 1.37, 1 B 1.50
C: 0.1068 0.6153 0.0609 [8 per cell]  1 B 1.46
C: 0.1799 0.7030 0.1684 [8 per cell]  2 B 1.46